Density functional theory data (PBE) for crystalline YB3H27N5 at its relaxed geometry.

```
data_YB3H27N5
_cell_length_a 8.7432
_cell_length_b 8.7432
_cell_length_c 10.1419
_cell_angle_alpha 90.00
_cell_angle_beta 90.00
_cell_angle_gamma 120.00
_space_group_name_H-M_alt 'P 63'
_space_group_IT_number 173
loop_
_space_group_symop_operation_xyz
'x,y,z'
'x-y,x,z+1/2'
'-y,x-y,z'
'-x,-y,z+1/2'
'-x+y,-x,z'
'y,-x+y,z+1/2'
loop_
_atom_site_label
_atom_site_type_symbol
_atom_site_fract_x
_atom_site_fract_y
_atom_site_fract_z
_atom_site_occupancy
Y1 Y 0.3333 0.6667 0.0000 1
B1 B 0.0306 0.6891 0.5441 1
H1 H 0.0100 0.3267 0.9268 1
H2 H 0.0353 0.8204 0.5913 1
H3 H 0.0373 0.7641 0.9895 1
H4 H 0.0551 0.4427 0.4459 1
H5 H 0.0570 0.7161 0.8385 1
H6 H 0.0808 0.4423 0.1073 1
H7 H 0.1721 0.6941 0.5540 1
H8 H 0.2259 0.5616 0.7207 1
H9 H 0.2368 0.6859 0.2995 1
N1 N 0.0570 0.6770 0.9341 1
N2 N 0.3333 0.6667 0.2586 1
N3 N 0.3333 0.6667 0.7633 1
```

E_tot in eV/atom: -4.756
Spin magnetization in Bohr magnetons per cell: 0.00
ΔE_f in eV per atom: -0.3675

***

Density functional theory data (PBE) for crystalline AlCuO3 at its relaxed geometry.

```
data_AlCuO3
_cell_length_a 5.6486
_cell_length_b 5.6486
_cell_length_c 10.4888
_cell_angle_alpha 90.00
_cell_angle_beta 90.00
_cell_angle_gamma 120.00
_space_group_name_H-M_alt 'P 63 c m'
_space_group_IT_number 185
_space_group_name_Hall 'P 6c -2'
loop_
_atom_site_label
_atom_site_type_symbol
_atom_site_fract_x
_atom_site_fract_y
_atom_site_fract_z
_atom_site_occupancy
Al1 Al 0.0000 0.0000 0.0000 1
Al2 Al 0.3333 0.6667 0.4763 1
Cu1 Cu 0.0000 0.3303 0.2392 1
O1 O 0.0000 0.0000 0.1806 1
O2 O 0.0000 0.2885 0.4150 1
O3 O 0.0000 0.4008 0.0662 1
O4 O 0.3333 0.6667 0.2818 1
```

E_tot in eV/atom: -6.099
Spin magnetization in Bohr magnetons per cell: 0.01
ΔE_f in eV per atom: -1.9731

***

Density functional theory data (PBE) for crystalline KNa2AlH6 at its relaxed geometry.

```
data_KNa2AlH6
_cell_length_a 5.584
_cell_length_b 5.663
_cell_length_c 7.988
_cell_angle_alpha 90.00
_cell_angle_beta 90.06
_cell_angle_gamma 90.00
_space_group_name_H-M_alt 'P 1 21 1'
_space_group_IT_number 4
loop_
_space_group_symop_operation_xyz
'x,y,z'
'-x,y+1/2,-z'
loop_
_atom_site_label
_atom_site_type_symbol
_atom_site_fract_x
_atom_site_fract_y
_atom_site_fract_z
_atom_site_occupancy
K1 K 0.241 0.000 0.000 1
Na1 Na 0.250 0.058 0.500 1
Na2 Na 0.253 0.521 0.741 1
Al1 Al 0.240 0.518 0.267 1
H1 H 0.009 0.206 0.760 1
H2 H 0.059 0.268 0.231 1
H3 H 0.170 0.490 0.479 1
H4 H 0.290 0.529 0.043 1
H5 H 0.422 0.772 0.300 1
H6 H 0.498 0.337 0.298 1
```

Energy relative to the lowest polymorph listed for this composition in kJ/mol of atoms: 0.00
E_tot in eV/atom: -2.972
Spin magnetization in Bohr magnetons per cell: 0.00
ΔE_f in eV per atom: -0.2937

***

Density functional theory data (PBE) for crystalline Rb2CdC2Cl2O5 at its relaxed geometry.

```
data_Rb2CdC2Cl2O5
_cell_length_a 6.117
_cell_length_b 11.051
_cell_length_c 15.827
_cell_angle_alpha 90.00
_cell_angle_beta 90.00
_cell_angle_gamma 90.00
_space_group_name_H-M_alt 'P b c m'
_space_group_IT_number 57
loop_
_space_group_symop_operation_xyz
'x,y,z'
'-x,-y,-z'
'-x,-y,z+1/2'
'x,y,-z+1/2'
'x,-y+1/2,-z'
'-x,y+1/2,z'
'-x,y+1/2,-z+1/2'
'x,-y+1/2,z+1/2'
loop_
_atom_site_label
_atom_site_type_symbol
_atom_site_fract_x
_atom_site_fract_y
_atom_site_fract_z
_atom_site_occupancy
Rb1 Rb 0.162 0.111 0.114 1
Cd1 Cd 0.351 0.086 0.750 1
C1 C 0.172 0.680 0.750 1
C2 C 0.311 0.701 0.250 1
Cl1 Cl 0.341 0.085 0.585 1
O1 O 0.033 0.197 0.750 1
O2 O 0.200 0.604 0.250 1
O3 O 0.220 0.750 0.000 1
O4 O 0.268 0.578 0.750 1
O5 O 0.483 0.209 0.250 1
```

E_tot in eV/atom: -5.260
Spin magnetization in Bohr magnetons per cell: 8.00
ΔE_f in eV per atom: -1.3983

***

Density functional theory data (PBE) for crystalline NpZnO3F6 at its relaxed geometry.

```
data_NpZnO3F6
_cell_length_a 11.748
_cell_length_b 7.177
_cell_length_c 9.174
_cell_angle_alpha 90.00
_cell_angle_beta 102.19
_cell_angle_gamma 90.00
_space_group_name_H-M_alt 'C 1 2 1'
_space_group_IT_number 5
loop_
_space_group_symop_operation_xyz
'x,y,z'
'-x,y,-z'
'x+1/2,y+1/2,z'
'-x+1/2,y+1/2,-z'
loop_
_atom_site_label
_atom_site_type_symbol
_atom_site_fract_x
_atom_site_fract_y
_atom_site_fract_z
_atom_site_occupancy
Np1 Np 0.000 0.000 0.000 1
Np2 Np 0.000 0.215 0.500 1
Zn1 Zn 0.238 0.351 0.246 1
O1 O 0.000 0.466 0.500 1
O2 O 0.000 0.747 0.000 1
O3 O 0.174 0.635 0.769 1
O4 O 0.189 0.597 0.262 1
F1 F 0.068 0.963 0.223 1
F2 F 0.074 0.253 0.722 1
F3 F 0.098 0.249 0.075 1
F4 F 0.100 0.976 0.565 1
F5 F 0.159 0.257 0.417 1
F6 F 0.160 0.964 0.931 1
```

E_tot in eV/atom: -5.404
Spin magnetization in Bohr magnetons per cell: 12.00
ΔE_f in eV per atom: -2.1576

***

Density functional theory data (PBE) for crystalline CsMg6SiO8 at its relaxed geometry.

```
data_CsMg6SiO8
_cell_length_a 4.505
_cell_length_b 9.499
_cell_length_c 4.599
_cell_angle_alpha 90.00
_cell_angle_beta 90.09
_cell_angle_gamma 90.00
_space_group_name_H-M_alt 'P 1 2/m 1'
_space_group_IT_number 10
loop_
_space_group_symop_operation_xyz
'x,y,z'
'-x,-y,-z'
'-x,y,-z'
'x,-y,z'
loop_
_atom_site_label
_atom_site_type_symbol
_atom_site_fract_x
_atom_site_fract_y
_atom_site_fract_z
_atom_site_occupancy
Cs1 Cs 0.000 0.000 0.000 1
Mg1 Mg 0.000 0.282 0.500 1
Mg2 Mg 0.000 0.500 0.000 1
Mg3 Mg 0.500 0.283 0.000 1
Mg4 Mg 0.500 0.500 0.500 1
Si1 Si 0.500 0.000 0.500 1
O1 O 0.000 0.000 0.500 1
O2 O 0.000 0.291 0.000 1
O3 O 0.000 0.500 0.500 1
O4 O 0.500 0.000 0.000 1
O5 O 0.500 0.275 0.500 1
O6 O 0.500 0.500 0.000 1
```

Energy relative to the lowest polymorph listed for this composition in kJ/mol of atoms: 51.46
E_tot in eV/atom: -5.246
Spin magnetization in Bohr magnetons per cell: 0.00
ΔE_f in eV per atom: -2.1208

***

Density functional theory data (PBE) for crystalline KSmP2S7 at its relaxed geometry.

```
data_KSmP2S7
_cell_length_a 9.847
_cell_length_b 12.524
_cell_length_c 9.089
_cell_angle_alpha 90.00
_cell_angle_beta 90.31
_cell_angle_gamma 90.00
_space_group_name_H-M_alt 'P 1 21/c 1'
_space_group_IT_number 14
loop_
_space_group_symop_operation_xyz
'x,y,z'
'-x,-y,-z'
'-x,y+1/2,-z+1/2'
'x,-y+1/2,z+1/2'
loop_
_atom_site_label
_atom_site_type_symbol
_atom_site_fract_x
_atom_site_fract_y
_atom_site_fract_z
_atom_site_occupancy
K1 K 0.106 0.192 0.131 1
Sm1 Sm 0.358 0.642 0.607 1
P1 P 0.226 0.604 0.977 1
P2 P 0.317 0.036 0.803 1
S1 S 0.130 0.709 0.111 1
S2 S 0.134 0.557 0.789 1
S3 S 0.168 0.525 0.432 1
S4 S 0.253 0.050 0.579 1
S5 S 0.353 0.192 0.852 1
S6 S 0.408 0.671 0.925 1
S7 S 0.486 0.557 0.323 1
```

E_tot in eV/atom: -5.049
ΔE_f in eV per atom: -1.2231

***

Density functional theory data (PBE) for crystalline Bi2O5 at its relaxed geometry.

```
data_Bi2O5
_cell_length_a 5.371
_cell_length_b 14.793
_cell_length_c 10.368
_cell_angle_alpha 90.00
_cell_angle_beta 90.00
_cell_angle_gamma 90.00
_space_group_name_H-M_alt 'P b c a'
_space_group_IT_number 61
loop_
_space_group_symop_operation_xyz
'x,y,z'
'-x,-y,-z'
'-x+1/2,-y,z+1/2'
'x+1/2,y,-z+1/2'
'x+1/2,-y+1/2,-z'
'-x+1/2,y+1/2,z'
'-x,y+1/2,-z+1/2'
'x,-y+1/2,z+1/2'
loop_
_atom_site_label
_atom_site_type_symbol
_atom_site_fract_x
_atom_site_fract_y
_atom_site_fract_z
_atom_site_occupancy
Bi1 Bi 0.008 0.215 0.136 1
Bi2 Bi 0.094 0.077 0.857 1
O1 O 0.052 0.521 0.817 1
O2 O 0.058 0.578 0.454 1
O3 O 0.172 0.155 0.295 1
O4 O 0.209 0.676 0.704 1
O5 O 0.220 0.693 0.974 1
```

Energy relative to the lowest polymorph listed for this composition in kJ/mol of atoms: 1.95
E_tot in eV/atom: -5.240
Spin magnetization in Bohr magnetons per cell: 0.00
ΔE_f in eV per atom: -1.0851

***

Q: The highest E_tot belongs to which entry?
A: KNa2AlH6

***

Q: E_tot of number 2 (AlCuO3)?
A: -6.099 eV/atom